1.
First-principles (PBE-GGA) data for an optimized crystal structure of LiAlSiO4, as listed in the Materials Project.

The crystal system is monoclinic. The value obtained for the polymorph energy (0 for the lowest one) is 0.030 eV per atom. The calculation puts the uncorrected energy at -151.16 eV per cell. Its spin magnetization is 0.00 μB per formula unit.

POSCAR file:
```
LiAlSiO4
1.0
5.2902 0.0000 0.0000
0.0000 11.3220 0.0000
-2.6360 0.0000 4.5981
Li Al Si O
3 3 3 12
Cartesian
0.0000 0.0000 0.0000 Li
0.0000 2.5424 0.0000 Li
0.0000 6.0217 0.0000 Li
1.3271 0.3245 2.2991 Al
2.6451 2.1910 0.0000 Al
1.3271 6.0418 2.2991 Al
-1.3180 4.1499 2.2991 Si
-1.3180 9.7252 2.2991 Si
2.6451 7.8805 0.0000 Si
-0.0670 5.0940 1.8199 O
-0.0638 10.6455 1.8357 O
-1.0204 3.2088 3.5974 O
-0.8659 8.8039 3.5723 O
1.3991 1.2612 0.8110 O
1.5708 6.9544 0.8138 O
1.0834 6.9544 3.7843 O
1.2551 1.2612 3.7871 O
3.5201 8.8039 1.0258 O
3.6746 3.2088 1.0007 O
2.7180 10.6455 2.7624 O
2.7212 5.0940 2.7782 O
```

---

2.
First-principles (PBE-GGA) data for an optimized crystal structure of BaSrCeNbO6, as listed in the Materials Project.

The crystal system is orthorhombic. The calculation puts the uncorrected energy at -315.38 eV per cell. Its spin magnetization is 1.00 μB per formula unit.

POSCAR file:
```
BaSrCeNbO6
1.0
8.5734 0.0000 0.0000
0.0000 8.5782 0.0000
0.0000 0.0000 8.5911
Ba Sr Ce Nb O
4 4 4 4 24
Cartesian
0.0000 0.0000 0.0000 Ba
0.0000 0.0000 4.2956 Ba
0.0000 4.2891 0.0000 Ba
4.2867 4.2891 0.0000 Ba
0.0000 4.2891 4.2956 Sr
4.2867 0.0000 0.0000 Sr
4.2867 0.0000 4.2956 Sr
4.2867 4.2891 4.2956 Sr
2.1621 2.1413 6.4274 Ce
2.1621 6.4369 2.1637 Ce
6.4114 2.1413 2.1637 Ce
6.4114 6.4369 6.4274 Ce
2.1630 2.1526 2.1765 Nb
2.1630 6.4256 6.4147 Nb
6.4104 2.1526 6.4147 Nb
6.4104 6.4256 2.1765 Nb
0.1475 1.8858 1.9278 O
0.1475 6.6924 6.6634 O
1.8168 2.4449 4.1725 O
1.8168 6.1333 4.4186 O
1.9368 4.1570 1.8760 O
1.9368 4.4212 6.7151 O
2.4512 0.1422 2.4945 O
2.4512 8.4360 6.0967 O
2.4787 1.8569 0.1542 O
2.4787 6.7213 8.4370 O
4.1597 2.4692 2.4829 O
4.1597 6.1090 6.1082 O
4.4137 2.4692 6.1082 O
4.4137 6.1090 2.4829 O
6.0947 1.8569 8.4370 O
6.0947 6.7213 0.1542 O
6.1223 0.1422 6.0967 O
6.1223 8.4360 2.4945 O
6.6366 4.1570 6.7151 O
6.6366 4.4212 1.8760 O
6.7567 2.4449 4.4186 O
6.7567 6.1333 4.1725 O
8.4259 1.8858 6.6634 O
8.4259 6.6924 1.9278 O
```